## NbCrO4 (GGA+U)

Data for a relaxed NbCrO4 crystal.

Values from the calculation:
E_form = -1592 kJ/mol of formula units
electronic total energy = -102.6 eV for the cell shown
largest piezoelectric modulus = 2.3 C/m2

Unit cell a=5.638 b=5.638 c=5.638 alpha=72.90 beta=107.10 gamma=65.68
Fractional coordinates of all 12 atoms:
O (0.999, 0.306, 0.695)
O (0.999, 0.696, 0.305)
O (0.554, 0.251, 0.805)
O (0.944, 0.251, 0.195)
O (0.494, 0.205, 0.301)
O (0.494, 0.808, 0.699)
O (0.045, 0.756, 0.801)
O (0.442, 0.756, 0.199)
Nb (0.012, 0.988, 0.000)
Nb (0.262, 0.238, 0.500)
Cr (0.502, 0.498, 0.000)
Cr (0.752, 0.748, 0.500)

## NbCrO4 (GGA+U)

Data for a relaxed NbCrO4 crystal.

Values from the calculation:
E_form = -1588 kJ/mol of formula units
electronic total energy = -205.0 eV for the cell shown

Unit cell a=6.607 b=6.607 c=7.872 alpha=72.62 beta=107.38 gamma=95.16
Fractional coordinates of all 24 atoms:
O (0.848, 0.152, 0.419)
O (0.508, 0.817, 0.925)
O (0.817, 0.508, 0.075)
O (0.847, 0.854, 0.745)
O (0.183, 0.507, 0.417)
O (0.147, 0.853, 0.069)
O (0.146, 0.153, 0.745)
O (0.153, 0.146, 0.255)
O (0.183, 0.492, 0.925)
O (0.507, 0.183, 0.583)
O (0.152, 0.848, 0.581)
O (0.853, 0.147, 0.931)
O (0.817, 0.493, 0.583)
O (0.854, 0.847, 0.255)
O (0.493, 0.817, 0.417)
O (0.492, 0.183, 0.075)
Nb (0.778, 0.222, 0.142)
Nb (0.222, 0.222, 0.500)
Nb (0.778, 0.778, 0.500)
Nb (0.222, 0.778, 0.858)
Cr (0.183, 0.183, 0.000)
Cr (0.182, 0.818, 0.343)
Cr (0.818, 0.182, 0.657)
Cr (0.817, 0.817, 0.000)

## NbCrO4 (GGA+U)

Data for a relaxed NbCrO4 crystal.

Values from the calculation:
E_form = -1591 kJ/mol of formula units
electronic total energy = -205.1 eV for the cell shown

Unit cell a=4.572 b=11.794 c=4.956 alpha=90.00 beta=90.00 gamma=90.00
Fractional coordinates of all 24 atoms:
O (0.771, 0.309, 0.076)
O (0.743, 0.939, 0.584)
O (0.757, 0.561, 0.084)
O (0.243, 0.561, 0.416)
O (0.243, 0.439, 0.916)
O (0.257, 0.061, 0.416)
O (0.771, 0.691, 0.576)
O (0.271, 0.809, 0.424)
O (0.743, 0.061, 0.084)
O (0.271, 0.191, 0.924)
O (0.229, 0.691, 0.924)
O (0.757, 0.439, 0.584)
O (0.229, 0.309, 0.424)
O (0.257, 0.939, 0.916)
O (0.729, 0.809, 0.076)
O (0.729, 0.191, 0.576)
Nb (0.500, 0.672, 0.250)
Nb (0.000, 0.828, 0.750)
Nb (0.500, 0.328, 0.750)
Nb (0.000, 0.172, 0.250)
Cr (0.500, 0.934, 0.250)
Cr (0.500, 0.066, 0.750)
Cr (0.000, 0.566, 0.750)
Cr (0.000, 0.434, 0.250)

## NbCr3P6O24 (GGA+U)

Data for a relaxed NbCr3P6O24 crystal.

Values from the calculation:
E_form = -8075 kJ/mol of formula units
electronic total energy = -251.5 eV for the cell shown
spin magnetization = 0.10 μB/atom

Unit cell a=8.849 b=8.849 c=8.849 alpha=58.38 beta=58.38 gamma=58.38
Fractional coordinates of all 34 atoms:
P (0.260, 0.967, 0.526)
P (0.460, 0.750, 0.036)
P (0.967, 0.526, 0.260)
P (0.526, 0.260, 0.967)
P (0.750, 0.036, 0.460)
P (0.036, 0.460, 0.750)
O (0.779, 0.006, 0.633)
O (0.006, 0.633, 0.779)
O (0.138, 0.504, 0.283)
O (0.361, 0.224, 0.993)
O (0.993, 0.361, 0.224)
O (0.633, 0.779, 0.006)
O (0.217, 0.434, 0.578)
O (0.504, 0.283, 0.138)
O (0.786, 0.557, 0.428)
O (0.922, 0.065, 0.280)
O (0.557, 0.428, 0.786)
O (0.280, 0.922, 0.065)
O (0.721, 0.865, 0.490)
O (0.940, 0.709, 0.083)
O (0.283, 0.138, 0.504)
O (0.224, 0.993, 0.361)
O (0.578, 0.217, 0.434)
O (0.434, 0.578, 0.217)
O (0.083, 0.940, 0.709)
O (0.428, 0.786, 0.557)
O (0.490, 0.721, 0.865)
O (0.865, 0.490, 0.721)
O (0.065, 0.280, 0.922)
O (0.709, 0.083, 0.940)
Cr (0.643, 0.643, 0.643)
Cr (0.143, 0.143, 0.143)
Cr (0.357, 0.357, 0.357)
Nb (0.861, 0.861, 0.861)

## Ti3Nb2CrP6O24 (GGA+U)

Data for a relaxed Ti3Nb2CrP6O24 crystal.

Values from the calculation:
E_form = -9599 kJ/mol of formula units
electronic total energy = -285.8 eV for the cell shown
spin magnetization = 0.22 μB/atom

Unit cell a=8.637 b=8.637 c=8.637 alpha=60.56 beta=60.56 gamma=60.56
Fractional coordinates of all 36 atoms:
O (0.058, 0.266, 0.912)
O (0.440, 0.588, 0.236)
O (0.384, 0.186, 0.000)
O (0.883, 0.496, 0.688)
O (0.503, 0.309, 0.118)
O (0.557, 0.408, 0.767)
O (0.738, 0.087, 0.943)
O (0.408, 0.767, 0.557)
O (0.767, 0.557, 0.408)
O (0.000, 0.384, 0.186)
O (0.266, 0.912, 0.058)
O (0.588, 0.236, 0.440)
O (0.688, 0.883, 0.496)
O (0.496, 0.688, 0.883)
O (0.008, 0.616, 0.808)
O (0.236, 0.440, 0.588)
O (0.616, 0.808, 0.008)
O (0.186, 0.000, 0.384)
O (0.309, 0.118, 0.503)
O (0.943, 0.738, 0.087)
O (0.912, 0.058, 0.266)
O (0.087, 0.943, 0.738)
O (0.808, 0.008, 0.616)
O (0.118, 0.503, 0.309)
Nb (0.500, 0.500, 0.500)
Nb (0.002, 0.002, 0.002)
Ti (0.358, 0.358, 0.358)
Ti (0.143, 0.143, 0.143)
Ti (0.641, 0.641, 0.641)
P (0.961, 0.542, 0.246)
P (0.749, 0.039, 0.462)
P (0.542, 0.246, 0.961)
P (0.246, 0.961, 0.542)
P (0.462, 0.749, 0.039)
P (0.039, 0.462, 0.749)
Cr (0.856, 0.856, 0.856)

## NbV3Cr2P6O24 (GGA+U)

Data for a relaxed NbV3Cr2P6O24 crystal.

Values from the calculation:
E_form = -9128 kJ/mol of formula units
electronic total energy = -276.9 eV for the cell shown
spin magnetization = 0.39 μB/atom

Unit cell a=8.657 b=8.650 c=8.650 alpha=60.00 beta=60.03 gamma=60.03
Fractional coordinates of all 36 atoms:
O (0.766, 0.265, 0.061)
O (0.766, 0.061, 0.909)
O (0.571, 0.004, 0.807)
O (0.266, 0.415, 0.558)
O (0.571, 0.807, 0.619)
O (0.237, 0.938, 0.086)
O (0.425, 0.191, 0.386)
O (0.237, 0.086, 0.739)
O (0.931, 0.881, 0.691)
O (0.425, 0.998, 0.191)
O (0.237, 0.739, 0.938)
O (0.069, 0.308, 0.507)
O (0.735, 0.442, 0.239)
O (0.931, 0.691, 0.497)
O (0.069, 0.507, 0.117)
O (0.931, 0.497, 0.881)
O (0.069, 0.117, 0.308)
O (0.425, 0.386, 0.998)
O (0.735, 0.584, 0.442)
O (0.766, 0.909, 0.265)
O (0.266, 0.761, 0.415)
O (0.735, 0.239, 0.584)
O (0.266, 0.558, 0.761)
O (0.571, 0.619, 0.004)
Cr (0.501, 0.500, 0.500)
Cr (0.010, 0.997, 0.997)
P (0.243, 0.253, 0.549)
P (0.752, 0.464, 0.041)
P (0.243, 0.549, 0.955)
P (0.752, 0.041, 0.743)
P (0.243, 0.955, 0.253)
P (0.752, 0.743, 0.464)
V (0.434, 0.855, 0.855)
V (0.071, 0.643, 0.643)
V (0.931, 0.356, 0.356)
Nb (0.571, 0.143, 0.143)